1.
The following is a DFT calculation (r²SCAN) of a relaxed structure of SrPmPt2.

```
SrPmPt2
1.0
0.0000 3.5995 3.5995
3.5995 0.0000 3.5995
3.5995 3.5995 0.0000
Sr Pm Pt
1 1 2
direct
0.0000 0.0000 0.0000 Sr
0.5000 0.5000 0.5000 Pm
0.2500 0.2500 0.2500 Pt
0.7500 0.7500 0.7500 Pt
```

Calculated values
Final energy   -37.900 eV/atom
Total magnetic moment   0.00 μB per formula unit
Energy of formation from the pure elements   -984.7 meV per atom
Calculated volume   23.32 Å³/atom
SG   Fm-3m

---

2.
The following is a DFT calculation (r²SCAN) of a relaxed structure of Pm2ZnPt.

```
Pm2ZnPt
1.0
0.0000 3.6013 3.6013
3.6013 0.0000 3.6013
3.6013 3.6013 0.0000
Pm Zn Pt
2 1 1
direct
0.2500 0.2500 0.2500 Pm
0.7500 0.7500 0.7500 Pm
0.0000 0.0000 0.0000 Zn
0.5000 0.5000 0.5000 Pt
```

Calculated values
Final energy   -30.633 eV/atom
Total magnetic moment   0.00 μB per formula unit
Energy of formation from the pure elements   -763.4 meV per atom
Calculated volume   23.35 Å³/atom
SG   Fm-3m

---

3.
The following is a DFT calculation (r²SCAN) of a relaxed structure of PmSbRh2.

```
PmSbRh2
1.0
0.0000 3.3595 3.3595
3.3595 0.0000 3.3595
3.3595 3.3595 0.0000
Pm Sb Rh
1 1 2
direct
0.0000 0.0000 0.0000 Pm
0.5000 0.5000 0.5000 Sb
0.2500 0.2500 0.2500 Rh
0.7500 0.7500 0.7500 Rh
```

Calculated values
Final energy   -26.551 eV/atom
Total magnetic moment   0.00 μB per formula unit
Energy of formation from the pure elements   -670.7 meV per atom
Calculated volume   18.96 Å³/atom
SG   Fm-3m